(1)
RbFeAgF6: optimized geometry, PBE+U.

As for the size of the total moment: 20.00 μB/cell. The formation energy comes out at -2.3538 eV per atom. The space-group type is No. 62. The total energy is -159.71 eV/cell.

```
36
Lattice="7.4682 0.0000 0.0000 0.0000 7.7225 0.0000 0.0000 0.0000 10.6479" Properties=species:S:1:pos:R:3 pbc="T T T"
Rb 0.1244 1.9306 1.4292
Rb 3.6097 5.7919 6.7532
Rb 3.8585 1.9306 3.8947
Rb 7.3438 5.7919 9.2187
Fe 0.0000 0.0000 5.3239
Fe 0.0000 3.8612 5.3239
Fe 3.7341 0.0000 0.0000
Fe 3.7341 3.8612 0.0000
Ag 1.5747 1.9306 8.0110
Ag 2.1594 5.7919 2.6871
Ag 5.3088 1.9306 7.9608
Ag 5.8935 5.7919 2.6369
F 0.3009 5.7919 1.7895
F 0.3915 1.9306 5.2376
F 1.0601 3.9864 6.9814
F 1.0601 7.5973 6.9814
F 1.6181 4.1511 4.3006
F 1.6181 7.4326 4.3006
F 2.1160 0.2898 9.6245
F 2.1160 3.5714 9.6245
F 2.6740 0.1252 1.6575
F 2.6740 3.7360 1.6575
F 3.3426 5.7919 10.5615
F 3.4332 1.9306 7.1134
F 4.0351 5.7919 3.5345
F 4.1257 1.9306 0.0864
F 4.7942 3.9864 8.9904
F 4.7942 7.5973 8.9904
F 5.3523 4.1511 1.0234
F 5.3523 7.4326 1.0234
F 5.8501 0.2898 6.3473
F 5.8501 3.5714 6.3473
F 6.4081 0.1252 3.6665
F 6.4081 3.7360 3.6665
F 7.0767 5.7919 5.4103
F 7.1673 1.9306 8.8584
```



(2)
MnAgH8O4F4: optimized geometry, PBE+U.

As for the size of the total moment: 8.00 μB/cell. The formation energy comes out at -1.6006 eV per atom. The space-group type is No. 11. The total energy is -178.27 eV/cell.

```
36
Lattice="7.0178 0.0000 0.0000 0.0000 7.1715 0.0000 -1.8748 0.0000 7.2440" Properties=species:S:1:pos:R:3 pbc="T T T"
Mn 0.7965 1.7929 3.2570
Mn 4.3465 5.3786 3.9870
Ag 1.4348 1.7929 6.9709
Ag 3.7082 5.3786 0.2731
H -0.4993 4.5583 2.7627
H -0.4993 6.1990 2.7627
H -0.5440 3.8759 6.3769
H -0.5440 6.8814 6.3769
H 1.2723 3.6347 0.7022
H 1.2723 7.1225 0.7022
H 2.0166 4.5246 4.5980
H 2.0166 6.2327 4.5980
H 3.1263 0.9389 2.6460
H 3.1263 2.6469 2.6460
H 3.8707 0.0490 6.5418
H 3.8707 3.5368 6.5418
H 5.6869 0.2902 0.8671
H 5.6869 3.2956 0.8671
H 5.6423 0.9725 4.4813
H 5.6423 2.6133 4.4813
O -1.0288 1.7929 4.0140
O 0.0257 3.7400 7.1814
O 0.0257 7.0173 7.1814
O 2.5822 1.7929 2.4417
O 2.5608 5.3786 4.8024
O 5.1173 0.1542 0.0626
O 5.1173 3.4316 0.0626
O 6.1717 5.3786 3.2300
F 0.1616 0.2767 1.9762
F 0.1616 3.3091 1.9762
F 1.3272 0.3553 4.5292
F 1.3272 3.2305 4.5292
F 3.8158 3.9411 2.7149
F 3.8158 6.8162 2.7149
F 4.9813 3.8625 5.2679
F 4.9813 6.8948 5.2679
```



(3)
Li2MnAgF6: optimized geometry, PBE+U.

As for the size of the total moment: 4.00 μB/cell. The formation energy comes out at -2.3077 eV per atom. The space-group type is No. 225. The total energy is -45.94 eV/cell.

```
10
Lattice="0.0000 4.2536 4.2536 4.2536 0.0000 4.2536 4.2536 4.2536 0.0000" Properties=species:S:1:pos:R:3 pbc="T T T"
Li 2.1268 2.1268 2.1268
Li 6.3804 6.3804 6.3804
Mn 0.0000 0.0000 0.0000
Ag 4.2536 4.2536 4.2536
F 4.2536 4.2536 1.9502
F 4.2536 1.9502 4.2536
F 6.5570 4.2536 4.2536
F 1.9502 4.2536 4.2536
F 4.2536 6.5570 4.2536
F 4.2536 4.2536 6.5570
```



(4)
Li2NiAgF6: optimized geometry, PBE+U.

As for the size of the total moment: 1.00 μB/cell. The formation energy comes out at -2.0792 eV per atom. The space-group type is No. 225. The total energy is -39.40 eV/cell.

```
10
Lattice="0.0000 4.1454 4.1454 4.1454 0.0000 4.1454 4.1454 4.1454 0.0000" Properties=species:S:1:pos:R:3 pbc="T T T"
Li 2.0727 2.0727 2.0727
Li 6.2180 6.2180 6.2180
Ni 0.0000 0.0000 0.0000
Ag 4.1454 4.1454 4.1454
F 4.1454 4.1454 1.9136
F 4.1454 1.9136 4.1454
F 6.3772 4.1454 4.1454
F 1.9136 4.1454 4.1454
F 4.1454 6.3772 4.1454
F 4.1454 4.1454 6.3772
```



(5)
MnAgF3: optimized geometry, PBE+U.

As for the size of the total moment: 5.55 μB/cell. The formation energy comes out at -1.3414 eV per atom. The space-group type is No. 221. The total energy is -21.39 eV/cell.

```
5
Lattice="4.4099 0.0000 0.0000 0.0000 4.4099 0.0000 0.0000 0.0000 4.4099" Properties=species:S:1:pos:R:3 pbc="T T T"
Mn 0.0000 0.0000 0.0000
Ag 2.2050 2.2050 2.2050
F 0.0000 2.2050 2.2050
F 2.2050 0.0000 2.2050
F 2.2050 2.2050 0.0000
```



(6)
Rb2MnAgF6: optimized geometry, PBE+U.

As for the size of the total moment: 4.00 μB/cell. The formation energy comes out at -2.6036 eV per atom. The space-group type is No. 225. The total energy is -47.04 eV/cell.

```
10
Lattice="0.0000 4.3869 4.3869 4.3869 0.0000 4.3869 4.3869 4.3869 0.0000" Properties=species:S:1:pos:R:3 pbc="T T T"
Rb 2.1935 2.1935 2.1935
Rb 6.5804 6.5804 6.5804
Mn 0.0000 0.0000 0.0000
Ag 4.3869 4.3869 4.3869
F 4.3869 4.3869 1.9728
F 4.3869 1.9728 4.3869
F 6.8010 4.3869 4.3869
F 1.9728 4.3869 4.3869
F 4.3869 6.8010 4.3869
F 4.3869 4.3869 6.8010
```